1.
# Li4Co5O9F, relaxed, DFT GGA+U
data_Li4Co5O9F
_chemical_formula_sum 'Li4 Co5 O9 F1'
_cell_length_a 2.855
_cell_length_b 5.047
_cell_length_c 12.463
_cell_angle_alpha 79.34
_cell_angle_beta 96.60
_cell_angle_gamma 106.49
_symmetry_space_group_name_H-M 'P 1'
_symmetry_Int_Tables_number 1
loop_
_symmetry_equiv_pos_as_xyz
'x,y,z'
loop_
_atom_site_label
_atom_site_type_symbol
_atom_site_fract_x
_atom_site_fract_y
_atom_site_fract_z
Li1 Li 0.803 0.007 0.603
Li2 Li 0.591 0.999 0.198
Li3 Li 0.415 0.001 0.818
Li4 Li 0.193 0.999 0.402
Co1 Co 0.901 0.498 0.299
Co2 Co 0.698 0.497 0.897
Co3 Co 0.503 0.503 0.499
Co4 Co 0.310 0.517 0.100
Co5 Co 0.104 0.507 0.698
O1 O 0.869 0.286 0.446
O2 O 0.932 0.707 0.155
O3 O 0.736 0.714 0.754
O4 O 0.535 0.713 0.351
O5 O 0.471 0.294 0.645
O6 O 0.267 0.283 0.246
O7 O 0.067 0.292 0.841
O8 O 0.323 0.694 0.952
O9 O 0.138 0.721 0.550
F1 F 0.656 0.259 0.052
# **Energy with MP2020 corrections**: -122.16 eV per cell
# **Calculated formation energy**: -1.712 eV per atom
# **M_tot**: 0.000 μB/f.u.
# **Excess energy over the best structure of this formula in the dataset**: 0 meV per atom



2.
# Zn2CrWO6, relaxed, DFT GGA+U
data_Zn2CrWO6
_chemical_formula_sum 'Zn4 Cr2 W2 O12'
_cell_length_a 5.242
_cell_length_b 5.542
_cell_length_c 7.638
_cell_angle_alpha 85.27
_cell_angle_beta 90.05
_cell_angle_gamma 90.05
_symmetry_space_group_name_H-M 'P 1'
_symmetry_Int_Tables_number 1
loop_
_symmetry_equiv_pos_as_xyz
'x,y,z'
loop_
_atom_site_label
_atom_site_type_symbol
_atom_site_fract_x
_atom_site_fract_y
_atom_site_fract_z
Zn1 Zn 0.006 0.496 0.235
Zn2 Zn 0.509 0.974 0.727
Zn3 Zn 0.508 0.059 0.268
Zn4 Zn 0.011 0.564 0.770
Cr1 Cr 0.509 0.505 0.991
Cr2 Cr 0.007 0.003 0.490
W1 W 0.508 0.506 0.493
W2 W 0.009 0.011 0.992
O1 O 0.184 0.688 0.046
O2 O 0.687 0.184 0.550
O3 O 0.200 0.318 0.420
O4 O 0.704 0.813 0.922
O5 O 0.633 0.488 0.244
O6 O 0.139 0.995 0.742
O7 O 0.324 0.820 0.426
O8 O 0.831 0.322 0.932
O9 O 0.875 0.002 0.240
O10 O 0.384 0.517 0.739
O11 O 0.319 0.194 0.056
O12 O 0.821 0.686 0.559
# **Energy with MP2020 corrections**: -149.83 eV per cell
# **Calculated formation energy**: -2.009 eV per atom
# **M_tot**: 0.998 μB/f.u.
# **Excess energy over the best structure of this formula in the dataset**: 0 meV per atom



3.
# CrPbO3, relaxed, DFT GGA+U
data_CrPbO3
_chemical_formula_sum 'Cr1 Pb1 O3'
_cell_length_a 3.917
_cell_length_b 3.917
_cell_length_c 3.917
_cell_angle_alpha 90.00
_cell_angle_beta 90.00
_cell_angle_gamma 90.00
_symmetry_space_group_name_H-M 'P 1'
_symmetry_Int_Tables_number 1
loop_
_symmetry_equiv_pos_as_xyz
'x,y,z'
loop_
_atom_site_label
_atom_site_type_symbol
_atom_site_fract_x
_atom_site_fract_y
_atom_site_fract_z
Cr1 Cr 0.000 0.000 0.000
Pb1 Pb 0.500 0.500 0.500
O1 O 0.000 0.000 0.500
O2 O 0.000 0.500 0.000
O3 O 0.500 0.000 0.000
# **Energy with MP2020 corrections**: -36.90 eV per cell
# **Calculated formation energy**: -1.738 eV per atom
# **M_tot**: 2.000 μB/f.u.



4.
# Ca5La7Mn7Ru5O36, relaxed, DFT GGA+U
data_Ca5La7Mn7Ru5O36
_chemical_formula_sum 'Ca5 La7 Mn7 Ru5 O36'
_cell_length_a 5.561
_cell_length_b 5.654
_cell_length_c 23.699
_cell_angle_alpha 89.83
_cell_angle_beta 90.10
_cell_angle_gamma 90.16
_symmetry_space_group_name_H-M 'P 1'
_symmetry_Int_Tables_number 1
loop_
_symmetry_equiv_pos_as_xyz
'x,y,z'
loop_
_atom_site_label
_atom_site_type_symbol
_atom_site_fract_x
_atom_site_fract_y
_atom_site_fract_z
Ca1 Ca 0.010 0.050 0.086
Ca2 Ca 0.484 0.557 0.086
Ca3 Ca 0.517 0.444 0.249
Ca4 Ca 0.988 0.950 0.250
Ca5 Ca 0.992 0.958 0.579
La1 La 0.008 0.039 0.418
La2 La 0.006 0.037 0.750
La3 La 0.489 0.542 0.416
La4 La 0.488 0.542 0.752
La5 La 0.513 0.456 0.580
La6 La 0.512 0.459 0.918
La7 La 0.992 0.961 0.918
Mn1 Mn 0.999 0.499 0.834
Mn2 Mn 0.501 0.999 0.500
Mn3 Mn 0.499 0.000 0.834
Mn4 Mn 0.497 0.001 0.004
Mn5 Mn 0.501 0.999 0.330
Mn6 Mn 0.500 0.000 0.664
Mn7 Mn 0.001 0.501 0.500
Ru1 Ru 0.000 0.502 0.005
Ru2 Ru 0.001 0.500 0.167
Ru3 Ru 0.000 0.500 0.664
Ru4 Ru 0.502 0.000 0.167
Ru5 Ru 0.001 0.498 0.329
O1 O 0.096 0.527 0.249
O2 O 0.092 0.536 0.586
O3 O 0.089 0.523 0.922
O4 O 0.206 0.793 0.150
O5 O 0.222 0.782 0.484
O6 O 0.218 0.783 0.819
O7 O 0.200 0.782 0.349
O8 O 0.188 0.798 0.018
O9 O 0.205 0.780 0.685
O10 O 0.294 0.311 0.016
O11 O 0.281 0.295 0.349
O12 O 0.286 0.297 0.683
O13 O 0.296 0.292 0.149
O14 O 0.285 0.288 0.486
O15 O 0.277 0.283 0.820
O16 O 0.412 0.024 0.583
O17 O 0.401 0.033 0.248
O18 O 0.421 0.016 0.918
O19 O 0.600 0.966 0.087
O20 O 0.577 0.986 0.414
O21 O 0.579 0.984 0.749
O22 O 0.704 0.707 0.185
O23 O 0.718 0.714 0.512
O24 O 0.719 0.716 0.848
O25 O 0.708 0.693 0.317
O26 O 0.709 0.694 0.652
O27 O 0.719 0.706 0.984
O28 O 0.806 0.206 0.316
O29 O 0.810 0.207 0.649
O30 O 0.798 0.221 0.984
O31 O 0.795 0.206 0.184
O32 O 0.779 0.217 0.848
O33 O 0.785 0.215 0.514
O34 O 0.901 0.470 0.085
O35 O 0.914 0.479 0.412
O36 O 0.911 0.475 0.747
# **Energy with MP2020 corrections**: -493.08 eV per cell
# **Calculated formation energy**: -2.664 eV per atom
# **M_tot**: 41.474 μB/f.u.



5.
# Ca3As2W10O8, relaxed, DFT GGA+U
data_Ca3As2W10O8
_chemical_formula_sum 'Ca6 As4 W20 O16'
_cell_length_a 6.275
_cell_length_b 10.963
_cell_length_c 14.086
_cell_angle_alpha 111.36
_cell_angle_beta 96.72
_cell_angle_gamma 98.40
_symmetry_space_group_name_H-M 'P 1'
_symmetry_Int_Tables_number 1
loop_
_symmetry_equiv_pos_as_xyz
'x,y,z'
loop_
_atom_site_label
_atom_site_type_symbol
_atom_site_fract_x
_atom_site_fract_y
_atom_site_fract_z
Ca1 Ca 0.456 0.544 0.330
Ca2 Ca 0.544 0.456 0.670
Ca3 Ca 0.229 0.855 0.331
Ca4 Ca 0.771 0.145 0.669
Ca5 Ca 0.807 0.044 0.313
Ca6 Ca 0.193 0.956 0.687
As1 As 0.721 0.138 0.136
As2 As 0.279 0.862 0.864
As3 As 0.262 0.139 0.541
As4 As 0.738 0.861 0.459
W1 W 0.262 0.592 0.549
W2 W 0.738 0.408 0.451
W3 W 0.063 0.682 0.030
W4 W 0.937 0.318 0.970
W5 W 0.981 0.580 0.379
W6 W 0.019 0.420 0.621
W7 W 0.266 0.526 0.111
W8 W 0.734 0.474 0.889
W9 W 0.097 0.082 0.927
W10 W 0.903 0.918 0.073
W11 W 0.398 0.915 0.064
W12 W 0.602 0.085 0.936
W13 W 0.562 0.669 0.034
W14 W 0.438 0.331 0.966
W15 W 0.392 0.253 0.127
W16 W 0.608 0.747 0.873
W17 W 0.786 0.520 0.129
W18 W 0.214 0.480 0.871
W19 W 0.204 0.338 0.406
W20 W 0.796 0.662 0.594
O1 O 0.107 0.575 0.242
O2 O 0.893 0.425 0.758
O3 O 0.085 0.219 0.619
O4 O 0.915 0.781 0.381
O5 O 0.729 0.015 0.457
O6 O 0.271 0.985 0.543
O7 O 0.520 0.233 0.602
O8 O 0.480 0.767 0.398
O9 O 0.199 0.112 0.409
O10 O 0.801 0.888 0.591
O11 O 0.860 0.255 0.366
O12 O 0.140 0.745 0.634
O13 O 0.313 0.320 0.266
O14 O 0.687 0.680 0.734
O15 O 0.183 0.058 0.079
O16 O 0.817 0.942 0.921
# **Energy with MP2020 corrections**: -370.93 eV per cell
# **Calculated formation energy**: -0.042 eV per atom
# **M_tot**: 11.989 μB/f.u.
# **Excess energy over the best structure of this formula in the dataset**: 0 meV per atom



6.
# Li6V3P8O29, relaxed, DFT GGA+U
data_Li6V3P8O29
_chemical_formula_sum 'Li12 V6 P16 O58'
_cell_length_a 9.830
_cell_length_b 9.829
_cell_length_c 13.965
_cell_angle_alpha 90.13
_cell_angle_beta 90.21
_cell_angle_gamma 60.00
_symmetry_space_group_name_H-M 'P 1'
_symmetry_Int_Tables_number 1
loop_
_symmetry_equiv_pos_as_xyz
'x,y,z'
loop_
_atom_site_label
_atom_site_type_symbol
_atom_site_fract_x
_atom_site_fract_y
_atom_site_fract_z
Li1 Li 0.776 0.917 0.558
Li2 Li 0.913 0.313 0.556
Li3 Li 0.670 0.663 0.382
Li4 Li 0.671 0.666 0.887
Li5 Li 0.772 0.315 0.066
Li6 Li 0.314 0.909 0.064
Li7 Li 0.316 0.772 0.560
Li8 Li 0.684 0.090 0.943
Li9 Li 0.224 0.678 0.944
Li10 Li 0.094 0.677 0.435
Li11 Li 0.228 0.096 0.437
Li12 Li 0.093 0.225 0.943
V1 V 0.566 0.429 0.255
V2 V 0.432 0.567 0.748
V3 V 0.570 0.002 0.748
V4 V 0.435 0.001 0.249
V5 V 0.001 0.571 0.244
V6 V 0.002 0.433 0.751
P1 P 0.912 0.772 0.840
P2 P 0.770 0.910 0.342
P3 P 0.912 0.322 0.341
P4 P 0.663 0.666 0.127
P5 P 0.669 0.666 0.626
P6 P 0.768 0.321 0.845
P7 P 0.685 0.232 0.659
P8 P 0.324 0.908 0.842
P9 P 0.682 0.087 0.158
P10 P 0.320 0.771 0.342
P11 P 0.234 0.678 0.159
P12 P 0.331 0.334 0.373
P13 P 0.333 0.335 0.873
P14 P 0.086 0.680 0.656
P15 P 0.232 0.086 0.658
P16 P 0.088 0.232 0.158
O1 O 0.001 0.756 0.565
O2 O 0.921 0.744 0.340
O3 O 0.755 0.004 0.067
O4 O 0.743 0.920 0.839
O5 O 0.887 0.627 0.827
O6 O 0.807 0.671 0.169
O7 O 0.896 0.487 0.325
O8 O 0.996 0.243 0.068
O9 O 0.919 0.332 0.844
O10 O 0.675 0.815 0.664
O11 O 0.626 0.885 0.325
O12 O 0.817 0.515 0.668
O13 O 0.657 0.666 0.020
O14 O 0.673 0.662 0.518
O15 O 0.664 0.516 0.167
O16 O 0.489 0.884 0.825
O17 O 0.509 0.818 0.166
O18 O 0.747 0.344 0.342
O19 O 0.784 0.210 0.756
O20 O 0.770 0.242 0.575
O21 O 0.752 0.247 0.935
O22 O 0.627 0.488 0.825
O23 O 0.515 0.673 0.664
O24 O 0.668 0.251 0.163
O25 O 0.488 0.628 0.327
O26 O 0.332 0.921 0.344
O27 O 0.789 0.996 0.250
O28 O 0.758 0.995 0.432
O29 O 0.247 0.996 0.568
O30 O 0.665 0.086 0.659
O31 O 0.523 0.384 0.677
O32 O 0.337 0.744 0.840
O33 O 0.478 0.337 0.329
O34 O 0.383 0.520 0.173
O35 O 0.239 0.761 0.069
O36 O 0.243 0.754 0.431
O37 O 0.214 0.788 0.250
O38 O 0.249 0.669 0.660
O39 O 0.483 0.188 0.832
O40 O 0.519 0.102 0.176
O41 O 0.327 0.487 0.833
O42 O 0.324 0.335 0.979
O43 O 0.332 0.330 0.479
O44 O 0.183 0.485 0.333
O45 O 0.383 0.095 0.678
O46 O 0.334 0.181 0.331
O47 O 0.086 0.661 0.163
O48 O 0.989 0.793 0.744
O49 O 0.006 0.765 0.925
O50 O 0.101 0.519 0.674
O51 O 0.182 0.333 0.829
O52 O 0.104 0.376 0.177
O53 O 0.250 0.081 0.157
O54 O 0.244 0.999 0.930
O55 O 0.215 0.996 0.750
O56 O 0.085 0.249 0.658
O57 O 0.006 0.244 0.430
O58 O 0.000 0.213 0.250
# **Energy with MP2020 corrections**: -695.66 eV per cell
# **Calculated formation energy**: -2.659 eV per atom
# **M_tot**: 3.000 μB/f.u.
# **Excess energy over the best structure of this formula in the dataset**: 3 meV per atom



7.
# VAgOF4, relaxed, DFT GGA+U
data_VAgOF4
_chemical_formula_sum 'V4 Ag4 O4 F16'
_cell_length_a 5.185
_cell_length_b 5.735
_cell_length_c 14.096
_cell_angle_alpha 80.38
_cell_angle_beta 90.00
_cell_angle_gamma 90.00
_symmetry_space_group_name_H-M 'P 1'
_symmetry_Int_Tables_number 1
loop_
_symmetry_equiv_pos_as_xyz
'x,y,z'
loop_
_atom_site_label
_atom_site_type_symbol
_atom_site_fract_x
_atom_site_fract_y
_atom_site_fract_z
V1 V 0.944 0.177 0.143
V2 V 0.444 0.823 0.357
V3 V 0.056 0.823 0.857
V4 V 0.556 0.177 0.643
Ag1 Ag 0.434 0.654 0.112
Ag2 Ag 0.934 0.346 0.388
Ag3 Ag 0.566 0.346 0.888
Ag4 Ag 0.066 0.654 0.612
O1 O 0.154 0.351 0.082
O2 O 0.654 0.649 0.418
O3 O 0.846 0.649 0.918
O4 O 0.346 0.351 0.582
F1 F 0.034 0.886 0.116
F2 F 0.534 0.114 0.384
F3 F 0.966 0.114 0.884
F4 F 0.466 0.886 0.616
F5 F 0.754 0.392 0.199
F6 F 0.254 0.608 0.301
F7 F 0.246 0.608 0.801
F8 F 0.746 0.392 0.699
F9 F 0.673 0.180 0.058
F10 F 0.173 0.820 0.442
F11 F 0.327 0.820 0.942
F12 F 0.827 0.180 0.558
F13 F 0.106 0.099 0.262
F14 F 0.606 0.901 0.238
F15 F 0.894 0.901 0.738
F16 F 0.394 0.099 0.762
# **Energy with MP2020 corrections**: -164.14 eV per cell
# **Calculated formation energy**: -2.359 eV per atom
# **M_tot**: 0.000 μB/f.u.



8.
# V2CoH4O8, relaxed, DFT GGA+U
data_V2CoH4O8
_chemical_formula_sum 'V8 Co4 H16 O32'
_cell_length_a 5.693
_cell_length_b 10.771
_cell_length_c 11.918
_cell_angle_alpha 90.00
_cell_angle_beta 90.00
_cell_angle_gamma 90.00
_symmetry_space_group_name_H-M 'P 1'
_symmetry_Int_Tables_number 1
loop_
_symmetry_equiv_pos_as_xyz
'x,y,z'
loop_
_atom_site_label
_atom_site_type_symbol
_atom_site_fract_x
_atom_site_fract_y
_atom_site_fract_z
V1 V 0.193 0.032 0.174
V2 V 0.193 0.468 0.174
V3 V 0.307 0.532 0.674
V4 V 0.307 0.968 0.674
V5 V 0.693 0.032 0.326
V6 V 0.693 0.468 0.326
V7 V 0.807 0.532 0.826
V8 V 0.807 0.968 0.826
Co1 Co 0.018 0.750 0.041
Co2 Co 0.482 0.250 0.541
Co3 Co 0.518 0.750 0.459
Co4 Co 0.982 0.250 0.959
H1 H 0.051 0.750 0.416
H2 H 0.121 0.177 0.403
H3 H 0.121 0.323 0.403
H4 H 0.171 0.750 0.292
H5 H 0.329 0.250 0.792
H6 H 0.379 0.823 0.903
H7 H 0.379 0.677 0.903
H8 H 0.449 0.250 0.916
H9 H 0.551 0.750 0.084
H10 H 0.621 0.177 0.097
H11 H 0.621 0.323 0.097
H12 H 0.671 0.750 0.208
H13 H 0.829 0.250 0.708
H14 H 0.879 0.677 0.597
H15 H 0.879 0.823 0.597
H16 H 0.949 0.250 0.584
O1 O 0.000 0.071 0.292
O2 O 0.000 0.429 0.292
O3 O 0.114 0.116 0.063
O4 O 0.114 0.384 0.063
O5 O 0.152 0.250 0.452
O6 O 0.163 0.621 0.145
O7 O 0.163 0.879 0.145
O8 O 0.199 0.750 0.373
O9 O 0.301 0.250 0.873
O10 O 0.337 0.121 0.645
O11 O 0.337 0.379 0.645
O12 O 0.348 0.750 0.952
O13 O 0.386 0.884 0.563
O14 O 0.386 0.616 0.563
O15 O 0.500 0.929 0.792
O16 O 0.500 0.571 0.792
O17 O 0.500 0.071 0.208
O18 O 0.500 0.429 0.208
O19 O 0.614 0.116 0.437
O20 O 0.614 0.384 0.437
O21 O 0.652 0.250 0.048
O22 O 0.663 0.621 0.355
O23 O 0.663 0.879 0.355
O24 O 0.699 0.750 0.127
O25 O 0.801 0.250 0.627
O26 O 0.837 0.121 0.855
O27 O 0.837 0.379 0.855
O28 O 0.848 0.750 0.548
O29 O 0.886 0.616 0.937
O30 O 0.886 0.884 0.937
O31 O 0.000 0.571 0.708
O32 O 0.000 0.929 0.708
# **Energy with MP2020 corrections**: -417.30 eV per cell
# **Calculated formation energy**: -1.726 eV per atom
# **M_tot**: 1.000 μB/f.u.



9.
# LiMnO3, relaxed, DFT GGA+U
data_LiMnO3
_chemical_formula_sum 'Li4 Mn4 O12'
_cell_length_a 5.022
_cell_length_b 5.154
_cell_length_c 7.076
_cell_angle_alpha 90.00
_cell_angle_beta 90.00
_cell_angle_gamma 90.00
_symmetry_space_group_name_H-M 'P 1'
_symmetry_Int_Tables_number 1
loop_
_symmetry_equiv_pos_as_xyz
'x,y,z'
loop_
_atom_site_label
_atom_site_type_symbol
_atom_site_fract_x
_atom_site_fract_y
_atom_site_fract_z
Li1 Li 0.000 0.055 0.250
Li2 Li 0.500 0.445 0.750
Li3 Li 0.500 0.555 0.250
Li4 Li 0.000 0.945 0.750
Mn1 Mn 0.500 0.000 0.000
Mn2 Mn 0.000 0.500 0.000
Mn3 Mn 0.000 0.500 0.500
Mn4 Mn 0.500 0.000 0.500
O1 O 0.871 0.553 0.750
O2 O 0.371 0.947 0.250
O3 O 0.629 0.053 0.750
O4 O 0.129 0.447 0.250
O5 O 0.677 0.317 0.431
O6 O 0.177 0.183 0.569
O7 O 0.823 0.817 0.069
O8 O 0.323 0.683 0.931
O9 O 0.677 0.317 0.069
O10 O 0.177 0.183 0.931
O11 O 0.323 0.683 0.569
O12 O 0.823 0.817 0.431
# **Energy with MP2020 corrections**: -137.49 eV per cell
# **Calculated formation energy**: -1.692 eV per atom
# **M_tot**: 2.000 μB/f.u.



10.
# Li2Mn2OF6, relaxed, DFT GGA+U
data_Li2Mn2OF6
_chemical_formula_sum 'Li4 Mn4 O2 F12'
_cell_length_a 5.239
_cell_length_b 5.238
_cell_length_c 11.180
_cell_angle_alpha 79.45
_cell_angle_beta 100.55
_cell_angle_gamma 77.74
_symmetry_space_group_name_H-M 'P 1'
_symmetry_Int_Tables_number 1
loop_
_symmetry_equiv_pos_as_xyz
'x,y,z'
loop_
_atom_site_label
_atom_site_type_symbol
_atom_site_fract_x
_atom_site_fract_y
_atom_site_fract_z
Li1 Li 0.446 0.922 0.706
Li2 Li 0.078 0.554 0.206
Li3 Li 0.094 0.502 0.790
Li4 Li 0.498 0.906 0.290
Mn1 Mn 0.108 0.607 0.499
Mn2 Mn 0.658 0.389 0.941
Mn3 Mn 0.393 0.891 0.999
Mn4 Mn 0.611 0.342 0.441
O1 O 0.325 0.625 0.920
O2 O 0.375 0.675 0.420
F1 F 0.225 0.691 0.657
F2 F 0.869 0.430 0.577
F3 F 0.736 0.622 0.802
F4 F 0.309 0.775 0.157
F5 F 0.570 0.131 0.077
F6 F 0.425 0.128 0.844
F7 F 0.398 0.211 0.567
F8 F 0.992 0.149 0.947
F9 F 0.378 0.264 0.302
F10 F 0.872 0.575 0.344
F11 F 0.789 0.602 0.067
F12 F 0.851 0.008 0.447
# **Energy with MP2020 corrections**: -138.09 eV per cell
# **Calculated formation energy**: -2.770 eV per atom
# **M_tot**: 8.000 μB/f.u.
# **Excess energy over the best structure of this formula in the dataset**: 41 meV per atom